# 1
## ZnS (PBE-GGA)

Data for an optimized crystal structure of ZnS.

DFT total energy: -3.51 eV/atom
crystal system: trigonal
SG: P3m1 (156)
ΔH_f (0 K): -2.12 eV/f.u.

a = 3.8539 Å, b = 3.8539 Å, c = 56.6884 Å
α = 90.00°, β = 90.00°, γ = 120.00°
With the nearest neighbours (Å) after each atom.
Element x y z (fractional)
Zn (0.0000, 0.0000, 0.0000)  4 S 2.36
Zn (0.0000, 0.0000, 0.1111)  4 S 2.36
Zn (0.0000, 0.0000, 0.2222)  4 S 2.36
Zn (0.0000, 0.0000, 0.3889)  4 S 2.36
Zn (0.0000, 0.0000, 0.5556)  4 S 2.36
Zn (0.0000, 0.0000, 0.7222)  4 S 2.36
Zn (0.0000, 0.0000, 0.8334)  4 S 2.36
Zn (0.3333, 0.6667, 0.1667)  4 S 2.36
Zn (0.3333, 0.6667, 0.3333)  4 S 2.36
Zn (0.3333, 0.6667, 0.4445)  4 S 2.36
Zn (0.3333, 0.6667, 0.6111)  4 S 2.36
Zn (0.3333, 0.6667, 0.7778)  4 S 2.36
Zn (0.3333, 0.6667, 0.9444)  4 S 2.36
Zn (0.6667, 0.3333, 0.0556)  4 S 2.36
Zn (0.6667, 0.3333, 0.2778)  4 S 2.36
Zn (0.6667, 0.3333, 0.5000)  4 S 2.36
Zn (0.6667, 0.3333, 0.6667)  4 S 2.36
Zn (0.6667, 0.3333, 0.8889)  4 S 2.36
S (0.0000, 0.0000, 0.0416)  4 Zn 2.36
S (0.0000, 0.0000, 0.1527)  4 Zn 2.36
S (0.0000, 0.0000, 0.2639)  4 Zn 2.36
S (0.0000, 0.0000, 0.4306)  4 Zn 2.36
S (0.0000, 0.0000, 0.5972)  4 Zn 2.36
S (0.0000, 0.0000, 0.7639)  4 Zn 2.36
S (0.0000, 0.0000, 0.8750)  4 Zn 2.36
S (0.3333, 0.6667, 0.2084)  4 Zn 2.36
S (0.3333, 0.6667, 0.3750)  4 Zn 2.36
S (0.3333, 0.6667, 0.4861)  4 Zn 2.36
S (0.3333, 0.6667, 0.6528)  4 Zn 2.36
S (0.3333, 0.6667, 0.8195)  4 Zn 2.36
S (0.3333, 0.6667, 0.9861)  4 Zn 2.36
S (0.6667, 0.3333, 0.0973)  4 Zn 2.36
S (0.6667, 0.3333, 0.3194)  4 Zn 2.36
S (0.6667, 0.3333, 0.5417)  4 Zn 2.36
S (0.6667, 0.3333, 0.7083)  4 Zn 2.36
S (0.6667, 0.3333, 0.9306)  4 Zn 2.36


# 2
## ZnS (PBE-GGA)

Data for an optimized crystal structure of ZnS.

DFT total energy: -3.51 eV/atom
crystal system: trigonal
SG: P3m1 (156)
ΔH_f (0 K): -2.12 eV/f.u.

a = 3.8537 Å, b = 3.8537 Å, c = 62.9875 Å
α = 90.00°, β = 90.00°, γ = 120.00°
With the nearest neighbours (Å) after each atom.
Element x y z (fractional)
Zn (0.0000, 0.0000, 0.0000)  4 S 2.36
Zn (0.0000, 0.0000, 0.1000)  4 S 2.36
Zn (0.0000, 0.0000, 0.2500)  4 S 2.36
Zn (0.0000, 0.0000, 0.4000)  4 S 2.36
Zn (0.0000, 0.0000, 0.5500)  4 S 2.36
Zn (0.0000, 0.0000, 0.7000)  4 S 2.36
Zn (0.0000, 0.0000, 0.8000)  4 S 2.36
Zn (0.3333, 0.6667, 0.0500)  4 S 2.36
Zn (0.3333, 0.6667, 0.2000)  4 S 2.36
Zn (0.3333, 0.6667, 0.3500)  4 S 2.36
Zn (0.3333, 0.6667, 0.4500)  4 S 2.36
Zn (0.3333, 0.6667, 0.6000)  4 S 2.36
Zn (0.3333, 0.6667, 0.7500)  4 S 2.36
Zn (0.3333, 0.6667, 0.9000)  4 S 2.36
Zn (0.6667, 0.3333, 0.1500)  4 S 2.36
Zn (0.6667, 0.3333, 0.3000)  4 S 2.36
Zn (0.6667, 0.3333, 0.5000)  4 S 2.36
Zn (0.6667, 0.3333, 0.6500)  4 S 2.36
Zn (0.6667, 0.3333, 0.8500)  4 S 2.36
Zn (0.6667, 0.3333, 0.9500)  4 S 2.36
S (0.0000, 0.0000, 0.0375)  4 Zn 2.36
S (0.0000, 0.0000, 0.1375)  4 Zn 2.36
S (0.0000, 0.0000, 0.2875)  4 Zn 2.36
S (0.0000, 0.0000, 0.4375)  4 Zn 2.36
S (0.0000, 0.0000, 0.5875)  4 Zn 2.36
S (0.0000, 0.0000, 0.7375)  4 Zn 2.36
S (0.0000, 0.0000, 0.8375)  4 Zn 2.36
S (0.3333, 0.6667, 0.0875)  4 Zn 2.36
S (0.3333, 0.6667, 0.2375)  4 Zn 2.36
S (0.3333, 0.6667, 0.3875)  4 Zn 2.36
S (0.3333, 0.6667, 0.4875)  4 Zn 2.36
S (0.3333, 0.6667, 0.6375)  4 Zn 2.36
S (0.3333, 0.6667, 0.7875)  4 Zn 2.36
S (0.3333, 0.6667, 0.9375)  4 Zn 2.36
S (0.6667, 0.3333, 0.1875)  4 Zn 2.36
S (0.6667, 0.3333, 0.3375)  4 Zn 2.36
S (0.6667, 0.3333, 0.5375)  4 Zn 2.36
S (0.6667, 0.3333, 0.6875)  4 Zn 2.36
S (0.6667, 0.3333, 0.8875)  4 Zn 2.36
S (0.6667, 0.3333, 0.9875)  4 Zn 2.36


# 3
## ZnS (PBE-GGA)

Data for an optimized crystal structure of ZnS.

DFT total energy: -3.51 eV/atom
crystal system: trigonal
SG: P3m1 (156)
ΔH_f (0 K): -2.12 eV/f.u.

a = 3.8517 Å, b = 3.8517 Å, c = 50.4108 Å
α = 90.00°, β = 90.00°, γ = 120.00°
With the nearest neighbours (Å) after each atom.
Element x y z (fractional)
Zn (0.0000, 0.0000, 0.0000)  4 S 2.36
Zn (0.0000, 0.0000, 0.1250)  4 S 2.36
Zn (0.0000, 0.0000, 0.2500)  4 S 2.36
Zn (0.0000, 0.0000, 0.3750)  4 S 2.36
Zn (0.0000, 0.0000, 0.6250)  4 S 2.36
Zn (0.0000, 0.0000, 0.7500)  4 S 2.36
Zn (0.3333, 0.6667, 0.1875)  4 S 2.36
Zn (0.3333, 0.6667, 0.4375)  4 S 2.36
Zn (0.3333, 0.6667, 0.5625)  4 S 2.36
Zn (0.3333, 0.6667, 0.8125)  4 S 2.36
Zn (0.3333, 0.6667, 0.9375)  4 S 2.36
Zn (0.6667, 0.3333, 0.0625)  4 S 2.36
Zn (0.6667, 0.3333, 0.3125)  4 S 2.36
Zn (0.6667, 0.3333, 0.5000)  4 S 2.36
Zn (0.6667, 0.3333, 0.6875)  4 S 2.36
Zn (0.6667, 0.3333, 0.8750)  4 S 2.36
S (0.0000, 0.0000, 0.0468)  4 Zn 2.36
S (0.0000, 0.0000, 0.1718)  4 Zn 2.36
S (0.0000, 0.0000, 0.2968)  4 Zn 2.36
S (0.0000, 0.0000, 0.4218)  4 Zn 2.36
S (0.0000, 0.0000, 0.6718)  4 Zn 2.36
S (0.0000, 0.0000, 0.7969)  4 Zn 2.36
S (0.3333, 0.6667, 0.2344)  4 Zn 2.36
S (0.3333, 0.6667, 0.4843)  4 Zn 2.36
S (0.3333, 0.6667, 0.6094)  4 Zn 2.36
S (0.3333, 0.6667, 0.8593)  4 Zn 2.36
S (0.3333, 0.6667, 0.9843)  4 Zn 2.36
S (0.6667, 0.3333, 0.1094)  4 Zn 2.36
S (0.6667, 0.3333, 0.3594)  4 Zn 2.36
S (0.6667, 0.3333, 0.5469)  4 Zn 2.36
S (0.6667, 0.3333, 0.7344)  4 Zn 2.36
S (0.6667, 0.3333, 0.9219)  4 Zn 2.36


# 4
## ZnS (PBE-GGA)

Data for an optimized crystal structure of ZnS.

DFT total energy: -3.51 eV/atom
crystal system: trigonal
SG: P3m1 (156)
ΔH_f (0 K): -2.12 eV/f.u.

a = 3.8536 Å, b = 3.8536 Å, c = 63.0042 Å
α = 90.00°, β = 90.00°, γ = 120.00°
With the nearest neighbours (Å) after each atom.
Element x y z (fractional)
Zn (0.0000, 0.0000, 0.0000)  4 S 2.36
Zn (0.0000, 0.0000, 0.1000)  4 S 2.36
Zn (0.0000, 0.0000, 0.2500)  4 S 2.36
Zn (0.0000, 0.0000, 0.3500)  4 S 2.36
Zn (0.0000, 0.0000, 0.5000)  4 S 2.36
Zn (0.0000, 0.0000, 0.6000)  4 S 2.36
Zn (0.0000, 0.0000, 0.8000)  4 S 2.36
Zn (0.3333, 0.6667, 0.0500)  4 S 2.36
Zn (0.3333, 0.6667, 0.2000)  4 S 2.36
Zn (0.3333, 0.6667, 0.4000)  4 S 2.36
Zn (0.3333, 0.6667, 0.5500)  4 S 2.36
Zn (0.3333, 0.6667, 0.7000)  4 S 2.36
Zn (0.3333, 0.6667, 0.9000)  4 S 2.36
Zn (0.6667, 0.3333, 0.1500)  4 S 2.36
Zn (0.6667, 0.3333, 0.3000)  4 S 2.36
Zn (0.6667, 0.3333, 0.4500)  4 S 2.36
Zn (0.6667, 0.3333, 0.6500)  4 S 2.36
Zn (0.6667, 0.3333, 0.7500)  4 S 2.36
Zn (0.6667, 0.3333, 0.8500)  4 S 2.36
Zn (0.6667, 0.3333, 0.9500)  4 S 2.36
S (0.0000, 0.0000, 0.0375)  4 Zn 2.36
S (0.0000, 0.0000, 0.1375)  4 Zn 2.36
S (0.0000, 0.0000, 0.2875)  4 Zn 2.36
S (0.0000, 0.0000, 0.3875)  4 Zn 2.36
S (0.0000, 0.0000, 0.5375)  4 Zn 2.36
S (0.0000, 0.0000, 0.6375)  4 Zn 2.36
S (0.0000, 0.0000, 0.8375)  4 Zn 2.36
S (0.3333, 0.6667, 0.0875)  4 Zn 2.36
S (0.3333, 0.6667, 0.2375)  4 Zn 2.36
S (0.3333, 0.6667, 0.4375)  4 Zn 2.36
S (0.3333, 0.6667, 0.5875)  4 Zn 2.36
S (0.3333, 0.6667, 0.7375)  4 Zn 2.36
S (0.3333, 0.6667, 0.9375)  4 Zn 2.36
S (0.6667, 0.3333, 0.1875)  4 Zn 2.36
S (0.6667, 0.3333, 0.3375)  4 Zn 2.36
S (0.6667, 0.3333, 0.4875)  4 Zn 2.36
S (0.6667, 0.3333, 0.6875)  4 Zn 2.36
S (0.6667, 0.3333, 0.7875)  4 Zn 2.36
S (0.6667, 0.3333, 0.8875)  4 Zn 2.36
S (0.6667, 0.3333, 0.9875)  4 Zn 2.36


# 5
## ZnS (PBE-GGA)

Data for an optimized crystal structure of ZnS.

DFT total energy: -3.51 eV/atom
crystal system: trigonal
SG: P3m1 (156)
ΔH_f (0 K): -2.12 eV/f.u.

a = 3.8526 Å, b = 3.8526 Å, c = 75.5940 Å
α = 90.00°, β = 90.00°, γ = 120.00°
With the nearest neighbours (Å) after each atom.
Element x y z (fractional)
Zn (0.0000, 0.0000, 0.0000)  4 S 2.36
Zn (0.0000, 0.0000, 0.0833)  4 S 2.36
Zn (0.0000, 0.0000, 0.1667)  4 S 2.36
Zn (0.0000, 0.0000, 0.2500)  4 S 2.36
Zn (0.0000, 0.0000, 0.3333)  4 S 2.36
Zn (0.0000, 0.0000, 0.4167)  4 S 2.36
Zn (0.0000, 0.0000, 0.5417)  4 S 2.36
Zn (0.0000, 0.0000, 0.7083)  4 S 2.36
Zn (0.0000, 0.0000, 0.8750)  4 S 2.36
Zn (0.3333, 0.6667, 0.1250)  4 S 2.36
Zn (0.3333, 0.6667, 0.2917)  4 S 2.36
Zn (0.3333, 0.6667, 0.4583)  4 S 2.36
Zn (0.3333, 0.6667, 0.5833)  4 S 2.36
Zn (0.3333, 0.6667, 0.6667)  4 S 2.36
Zn (0.3333, 0.6667, 0.7500)  4 S 2.36
Zn (0.3333, 0.6667, 0.8333)  4 S 2.36
Zn (0.3333, 0.6667, 0.9583)  4 S 2.36
Zn (0.6667, 0.3333, 0.0417)  4 S 2.36
Zn (0.6667, 0.3333, 0.2083)  4 S 2.36
Zn (0.6667, 0.3333, 0.3750)  4 S 2.36
Zn (0.6667, 0.3333, 0.5000)  4 S 2.36
Zn (0.6667, 0.3333, 0.6250)  4 S 2.36
Zn (0.6667, 0.3333, 0.7917)  4 S 2.36
Zn (0.6667, 0.3333, 0.9167)  4 S 2.36
S (0.0000, 0.0000, 0.0312)  4 Zn 2.36
S (0.0000, 0.0000, 0.1146)  4 Zn 2.36
S (0.0000, 0.0000, 0.1979)  4 Zn 2.36
S (0.0000, 0.0000, 0.2812)  4 Zn 2.36
S (0.0000, 0.0000, 0.3646)  4 Zn 2.36
S (0.0000, 0.0000, 0.4479)  4 Zn 2.36
S (0.0000, 0.0000, 0.5729)  4 Zn 2.36
S (0.0000, 0.0000, 0.7396)  4 Zn 2.36
S (0.0000, 0.0000, 0.9062)  4 Zn 2.36
S (0.3333, 0.6667, 0.1563)  4 Zn 2.36
S (0.3333, 0.6667, 0.3229)  4 Zn 2.36
S (0.3333, 0.6667, 0.4896)  4 Zn 2.36
S (0.3333, 0.6667, 0.6146)  4 Zn 2.36
S (0.3333, 0.6667, 0.6979)  4 Zn 2.36
S (0.3333, 0.6667, 0.7812)  4 Zn 2.36
S (0.3333, 0.6667, 0.8646)  4 Zn 2.36
S (0.3333, 0.6667, 0.9896)  4 Zn 2.36
S (0.6667, 0.3333, 0.0729)  4 Zn 2.36
S (0.6667, 0.3333, 0.2396)  4 Zn 2.36
S (0.6667, 0.3333, 0.4063)  4 Zn 2.36
S (0.6667, 0.3333, 0.5312)  4 Zn 2.36
S (0.6667, 0.3333, 0.6563)  4 Zn 2.36
S (0.6667, 0.3333, 0.8229)  4 Zn 2.36
S (0.6667, 0.3333, 0.9479)  4 Zn 2.36